[1]
{
  "formula": "FeSO4",
  "functional": "meta-GGA r2SCAN",
  "state": "relaxed",
  "ef_mev_per_atom": -1491,
  "energy_ev_per_cell": -221.123,
  "density_g_cm3": 3.7,
  "lattice": [[1.110, -2.930, 4.241], [3.994, -5.123, -4.585], [5.470, 3.427, 0.936]],
  "species": ["Fe", "Fe", "Fe", "Fe", "S", "S", "S", "S", "O", "O", "O", "O", "O", "O", "O", "O", "O", "O", "O", "O", "O", "O", "O", "O"],
  "fractional_positions": [[0.500, 0.500, 0.500], [0.500, 0.500, 0.000], [0.000, 0.000, 0.500], [0.000, 0.000, 0.000], [0.500, 0.850, 0.250], [0.000, 0.350, 0.250], [0.500, 0.150, 0.750], [0.000, 0.650, 0.750], [0.269, 0.042, 0.750], [0.769, 0.542, 0.750], [0.731, 0.958, 0.250], [0.231, 0.458, 0.250], [0.269, 0.958, 0.250], [0.769, 0.458, 0.250], [0.731, 0.042, 0.750], [0.231, 0.542, 0.750], [0.500, 0.252, 0.936], [0.000, 0.752, 0.936], [0.500, 0.748, 0.436], [0.000, 0.248, 0.436], [0.500, 0.748, 0.064], [0.000, 0.248, 0.064], [0.500, 0.252, 0.564], [0.000, 0.752, 0.564]]
}

=====

[2]
{
  "formula": "SrCu2O3",
  "functional": "meta-GGA r2SCAN",
  "state": "relaxed",
  "ef_mev_per_atom": -1525,
  "energy_ev_per_cell": -63.909,
  "density_g_cm3": 5.5,
  "space_group": "Cmmm (65)",
  "lattice": [[1.968, -5.733, 0.000], [1.968, 5.733, 0.000], [0.000, 0.000, 3.510]],
  "species": ["Sr", "Cu", "Cu", "O", "O", "O"],
  "fractional_positions": [[0.000, 0.000, 0.500], [0.665, 0.335, 0.000], [0.335, 0.665, 0.000], [0.170, 0.830, 0.000], [0.830, 0.170, 0.000], [0.500, 0.500, 0.000]]
}

=====

[3]
{
  "formula": "AgPdO2",
  "functional": "meta-GGA r2SCAN",
  "state": "relaxed",
  "ef_mev_per_atom": -425,
  "energy_ev_per_cell": -57.960,
  "density_g_cm3": 7.5,
  "space_group": "Pmmm (47)",
  "lattice": [[0.760, 0.364, 2.884], [-3.195, -0.435, 0.897], [0.853, -5.337, 0.448]],
  "species": ["Ag", "Pd", "O", "O"],
  "fractional_positions": [[0.500, 0.500, 0.500], [0.000, 0.000, 0.000], [0.500, 0.000, 0.246], [0.500, 0.000, 0.754]]
}

=====

[4]
{
  "formula": "ErCoB4",
  "functional": "meta-GGA r2SCAN",
  "state": "relaxed",
  "ef_mev_per_atom": -627,
  "energy_ev_per_cell": -321.240,
  "density_g_cm3": 8.1,
  "space_group": "Pbam (55)",
  "lattice": [[-1.281, 1.985, -2.359], [-2.181, -4.682, -2.756], [-9.582, 0.936, 5.992]],
  "species": ["Er", "Er", "Er", "Er", "Co", "Co", "Co", "Co", "B", "B", "B", "B", "B", "B", "B", "B", "B", "B", "B", "B", "B", "B", "B", "B"],
  "fractional_positions": [[0.500, 0.372, 0.150], [0.500, 0.628, 0.850], [0.500, 0.128, 0.650], [0.500, 0.872, 0.350], [0.500, 0.365, 0.410], [0.500, 0.635, 0.590], [0.500, 0.135, 0.910], [0.500, 0.865, 0.090], [0.000, 0.111, 0.046], [0.000, 0.888, 0.954], [0.000, 0.389, 0.546], [0.000, 0.612, 0.454], [0.000, 0.139, 0.468], [0.000, 0.861, 0.532], [0.000, 0.361, 0.968], [0.000, 0.639, 0.032], [0.000, 0.023, 0.191], [0.000, 0.977, 0.809], [0.000, 0.477, 0.691], [0.000, 0.523, 0.309], [0.000, 0.217, 0.315], [0.000, 0.783, 0.685], [0.000, 0.283, 0.815], [0.000, 0.717, 0.185]]
}

=====

[5]
{
  "formula": "GeO2",
  "functional": "meta-GGA r2SCAN",
  "state": "relaxed",
  "ef_mev_per_atom": -1762,
  "energy_ev_per_cell": -93.313,
  "density_g_cm3": 4.3,
  "space_group": "P3_221 (154)",
  "lattice": [[2.488, -4.310, 0.000], [2.488, 4.310, 0.000], [0.000, 0.000, 5.671]],
  "species": ["Ge", "Ge", "Ge", "O", "O", "O", "O", "O", "O"],
  "fractional_positions": [[0.552, 0.552, 0.000], [0.000, 0.449, 0.333], [0.449, 0.000, 0.667], [0.306, 0.395, 0.245], [0.605, 0.911, 0.911], [0.089, 0.694, 0.578], [0.395, 0.306, 0.755], [0.694, 0.089, 0.422], [0.911, 0.605, 0.089]]
}

=====

[6]
{
  "formula": "EuAsAu",
  "functional": "meta-GGA r2SCAN",
  "state": "relaxed",
  "ef_mev_per_atom": -1071,
  "energy_ev_per_cell": -214.050,
  "density_g_cm3": 9.9,
  "space_group": "P6_3/mmc (194)",
  "lattice": [[4.462, 0.000, 0.000], [-2.231, 3.864, 0.000], [0.000, 0.000, 8.273]],
  "species": ["Eu", "Eu", "As", "As", "Au", "Au"],
  "fractional_positions": [[0.000, 0.000, 0.500], [0.000, 0.000, 0.000], [0.667, 0.333, 0.750], [0.333, 0.667, 0.250], [0.333, 0.667, 0.750], [0.667, 0.333, 0.250]]
}

=====

[7]
{
  "formula": "PaAl3",
  "functional": "meta-GGA r2SCAN",
  "state": "relaxed",
  "ef_mev_per_atom": -286,
  "energy_ev_per_cell": -196.392,
  "relative_energy_kj_per_mol_atoms": 0.0,
  "density_g_cm3": 6.7,
  "space_group": "P6_3/mmc (194)",
  "lattice": [[6.282, 0.000, 0.000], [-3.141, 5.441, 0.000], [0.000, 0.000, 4.534]],
  "species": ["Pa", "Pa", "Al", "Al", "Al", "Al", "Al", "Al"],
  "fractional_positions": [[0.333, 0.667, 0.750], [0.667, 0.333, 0.250], [0.147, 0.293, 0.250], [0.707, 0.853, 0.250], [0.147, 0.853, 0.250], [0.853, 0.707, 0.750], [0.293, 0.147, 0.750], [0.853, 0.147, 0.750]]
}

=====

[8]
{
  "formula": "CoSn3",
  "functional": "meta-GGA r2SCAN",
  "state": "relaxed",
  "ef_mev_per_atom": 88,
  "energy_ev_per_cell": -348.490,
  "density_g_cm3": 8.3,
  "space_group": "Cmce (64)",
  "lattice": [[-0.124, 6.115, 1.230], [2.036, -1.125, 5.797], [7.959, 3.759, -2.066]],
  "species": ["Co", "Co", "Co", "Co", "Sn", "Sn", "Sn", "Sn", "Sn", "Sn", "Sn", "Sn", "Sn", "Sn", "Sn", "Sn"],
  "fractional_positions": [[0.920, 0.000, 0.160], [0.420, 0.500, 0.160], [0.080, 0.000, 0.840], [0.580, 0.500, 0.840], [0.337, 0.163, 0.000], [0.837, 0.337, 0.000], [0.163, 0.663, 0.000], [0.663, 0.837, 0.000], [0.523, 0.191, 0.330], [0.023, 0.309, 0.330], [0.647, 0.691, 0.330], [0.147, 0.809, 0.330], [0.853, 0.191, 0.670], [0.353, 0.309, 0.670], [0.977, 0.691, 0.670], [0.477, 0.809, 0.670]]
}

=====

[9]
{
  "formula": "LiTl3",
  "functional": "meta-GGA r2SCAN",
  "state": "relaxed",
  "ef_mev_per_atom": -81,
  "energy_ev_per_cell": -162.249,
  "density_g_cm3": 9.9,
  "space_group": "I4/mmm (139)",
  "lattice": [[-2.326, 2.326, 4.830], [2.326, -2.326, 4.830], [2.326, 2.326, -4.830]],
  "species": ["Li", "Tl", "Tl", "Tl"],
  "fractional_positions": [[0.000, 0.000, 0.000], [0.750, 0.250, 0.500], [0.250, 0.750, 0.500], [0.500, 0.500, 0.000]]
}

=====

[10]
{
  "formula": "NaZnF3",
  "functional": "meta-GGA r2SCAN",
  "state": "relaxed",
  "ef_mev_per_atom": -2755,
  "energy_ev_per_cell": -142.512,
  "density_g_cm3": 4.2,
  "space_group": "Pnma (62)",
  "lattice": [[-3.812, -3.465, -1.446], [3.665, -4.194, 0.387], [-1.909, -0.986, 7.396]],
  "species": ["Na", "Na", "Na", "Na", "Zn", "Zn", "Zn", "Zn", "F", "F", "F", "F", "F", "F", "F", "F", "F", "F", "F", "F"],
  "fractional_positions": [[0.019, 0.938, 0.750], [0.519, 0.562, 0.250], [0.481, 0.438, 0.750], [0.981, 0.062, 0.250], [0.500, 0.000, 0.500], [0.000, 0.500, 0.500], [0.000, 0.500, 0.000], [0.500, 0.000, 0.000], [0.694, 0.301, 0.442], [0.194, 0.199, 0.558], [0.806, 0.801, 0.058], [0.306, 0.699, 0.942], [0.306, 0.699, 0.558], [0.806, 0.801, 0.442], [0.194, 0.199, 0.942], [0.694, 0.301, 0.058], [0.111, 0.459, 0.250], [0.611, 0.041, 0.750], [0.389, 0.959, 0.250], [0.889, 0.541, 0.750]]
}

=====

[11]
{
  "formula": "Sr4SiP4",
  "functional": "meta-GGA r2SCAN",
  "state": "relaxed",
  "ef_mev_per_atom": -1186,
  "energy_ev_per_cell": -928.315,
  "density_g_cm3": 3.5,
  "space_group": "P-43n (218)",
  "lattice": [[12.460, 0.000, 0.000], [0.000, 12.460, 0.000], [0.000, 0.000, 12.460]],
  "species": ["Sr", "Sr", "Sr", "Sr", "Sr", "Sr", "Sr", "Sr", "Sr", "Sr", "Sr", "Sr", "Sr", "Sr", "Sr", "Sr", "Sr", "Sr", "Sr", "Sr", "Sr", "Sr", "Sr", "Sr", "Sr", "Sr", "Sr", "Sr", "Sr", "Sr", "Sr", "Sr", "Si", "Si", "Si", "Si", "Si", "Si", "Si", "Si", "P", "P", "P", "P", "P", "P", "P", "P", "P", "P", "P", "P", "P", "P", "P", "P", "P", "P", "P", "P", "P", "P", "P", "P", "P", "P", "P", "P", "P", "P", "P", "P"],
  "fractional_positions": [[0.354, 0.354, 0.354], [0.646, 0.646, 0.354], [0.646, 0.354, 0.646], [0.854, 0.854, 0.854], [0.354, 0.646, 0.646], [0.146, 0.146, 0.854], [0.854, 0.146, 0.146], [0.146, 0.854, 0.146], [0.095, 0.133, 0.355], [0.905, 0.867, 0.355], [0.905, 0.133, 0.645], [0.355, 0.095, 0.133], [0.633, 0.595, 0.855], [0.095, 0.867, 0.645], [0.355, 0.905, 0.867], [0.367, 0.405, 0.855], [0.645, 0.905, 0.133], [0.633, 0.405, 0.145], [0.645, 0.095, 0.867], [0.367, 0.595, 0.145], [0.133, 0.355, 0.095], [0.595, 0.855, 0.633], [0.133, 0.645, 0.905], [0.405, 0.145, 0.633], [0.867, 0.645, 0.095], [0.595, 0.145, 0.367], [0.867, 0.355, 0.905], [0.405, 0.855, 0.367], [0.855, 0.633, 0.595], [0.855, 0.367, 0.405], [0.145, 0.367, 0.595], [0.145, 0.633, 0.405], [0.250, 0.000, 0.500], [0.750, 0.000, 0.500], [0.500, 0.250, 0.000], [0.500, 0.750, 0.000], [0.000, 0.500, 0.250], [0.000, 0.500, 0.750], [0.000, 0.000, 0.000], [0.500, 0.500, 0.500], [0.104, 0.386, 0.349], [0.896, 0.614, 0.349], [0.896, 0.386, 0.651], [0.349, 0.104, 0.386], [0.886, 0.604, 0.849], [0.104, 0.614, 0.651], [0.349, 0.896, 0.614], [0.114, 0.396, 0.849], [0.651, 0.896, 0.386], [0.886, 0.396, 0.151], [0.651, 0.104, 0.614], [0.114, 0.604, 0.151], [0.386, 0.349, 0.104], [0.604, 0.849, 0.886], [0.386, 0.651, 0.896], [0.396, 0.151, 0.886], [0.614, 0.651, 0.104], [0.604, 0.151, 0.114], [0.614, 0.349, 0.896], [0.396, 0.849, 0.114], [0.849, 0.886, 0.604], [0.849, 0.114, 0.396], [0.151, 0.114, 0.604], [0.151, 0.886, 0.396], [0.105, 0.105, 0.105], [0.895, 0.895, 0.105], [0.895, 0.105, 0.895], [0.605, 0.605, 0.605], [0.105, 0.895, 0.895], [0.395, 0.395, 0.605], [0.605, 0.395, 0.395], [0.395, 0.605, 0.395]]
}

=====

[12]
{
  "formula": "YZnSi",
  "functional": "meta-GGA r2SCAN",
  "state": "relaxed",
  "ef_mev_per_atom": -721,
  "energy_ev_per_cell": -40.160,
  "density_g_cm3": 5.2,
  "space_group": "P-6m2 (187)",
  "lattice": [[0.129, 2.459, -3.256], [-1.715, -3.692, -0.298], [-3.598, 1.586, 1.055]],
  "species": ["Y", "Zn", "Si"],
  "fractional_positions": [[0.000, 0.000, 0.000], [0.333, 0.667, 0.500], [0.667, 0.333, 0.500]]
}